Record 1
This record from the Materials Project database describes an optimized crystal structure of K14In4O13. The functional is r²SCAN.

Lattice parameters (Å, degrees): 31.320 6.829 6.843 60.94 90.00 90.00
Element x y z (fractional)
K1 0.218 0.711 0.055
K2 0.282 0.711 0.555
K3 0.001 0.271 0.959
K4 0.274 0.277 0.440
K5 0.448 0.156 0.001
K6 0.111 0.748 0.041
K7 0.501 0.729 0.541
K8 0.948 0.844 0.499
K9 0.613 0.715 0.541
K10 0.718 0.289 0.445
K11 0.113 0.285 0.959
K12 0.658 0.134 0.005
K13 0.552 0.844 0.999
K14 0.611 0.252 0.459
K15 0.774 0.723 0.060
K16 0.999 0.729 0.041
K17 0.499 0.271 0.459
K18 0.389 0.748 0.541
K19 0.158 0.866 0.495
K20 0.726 0.723 0.560
K21 0.052 0.156 0.501
K22 0.887 0.715 0.041
K23 0.889 0.252 0.959
K24 0.842 0.134 0.505
K25 0.782 0.289 0.945
K26 0.226 0.277 0.940
K27 0.342 0.866 0.995
K28 0.387 0.285 0.459
In1 0.334 0.342 0.001
In2 0.945 0.328 0.500
In3 0.666 0.658 0.999
In4 0.555 0.328 0.000
In5 0.055 0.672 0.500
In6 0.166 0.342 0.501
In7 0.445 0.672 0.000
In8 0.834 0.658 0.499
O1 0.670 0.957 0.707
O2 0.172 0.320 0.212
O3 0.604 0.532 0.003
O4 0.942 0.029 0.789
O5 0.104 0.468 0.497
O6 0.210 0.568 0.499
O7 0.943 0.319 0.206
O8 0.710 0.432 0.001
O9 0.442 0.971 0.711
O10 0.328 0.320 0.712
O11 0.557 0.319 0.706
O12 0.058 0.971 0.211
O13 0.443 0.681 0.294
O14 0.170 0.043 0.793
O15 0.558 0.029 0.289
O16 0.896 0.532 0.503
O17 0.330 0.043 0.293
O18 0.000 0.500 0.500
O19 0.830 0.957 0.207
O20 0.828 0.680 0.788
O21 0.290 0.568 0.999
O22 0.396 0.468 0.997
O23 0.057 0.681 0.794
O24 0.500 0.500 0.000
O25 0.790 0.432 0.501
O26 0.672 0.680 0.288

Computed properties:
- Calculated formation energy: -1.546 eV per atom
- Symmetry: P2_1/c (14)

***

Record 2
This record from the Materials Project database describes an optimized crystal structure of Ca2N. The functional is r²SCAN.

Lattice parameters (Å, degrees): 6.755 6.755 6.755 30.94 30.94 30.94
Element x y z (fractional)
Ca1 0.731 0.731 0.731
Ca2 0.269 0.269 0.269
N1 0.000 0.000 0.000

Computed properties:
- Calculated formation energy: -0.898 eV per atom
- Symmetry: R-3m (166)

***

Record 3
This record from the Materials Project database describes an optimized crystal structure of KAgSe. The functional is r²SCAN.

Lattice parameters (Å, degrees): 4.516 4.516 7.698 90.00 90.00 90.00
Element x y z (fractional)
K1 0.750 0.750 0.337
K2 0.250 0.250 0.663
Ag1 0.750 0.250 0.000
Ag2 0.250 0.750 0.000
Se1 0.250 0.250 0.217
Se2 0.750 0.750 0.783

Computed properties:
- Calculated formation energy: -0.799 eV per atom
- Symmetry: P4/nmm (129)

***

Record 4
This record from the Materials Project database describes an optimized crystal structure of CoGe2. The functional is r²SCAN.

Lattice parameters (Å, degrees): 5.598 5.600 6.083 90.00 117.39 90.00
Element x y z (fractional)
Co1 0.992 0.000 0.984
Co2 0.492 0.500 0.984
Co3 0.758 0.000 0.516
Co4 0.258 0.500 0.516
Ge1 0.716 0.659 0.750
Ge2 0.034 0.341 0.750
Ge3 0.534 0.159 0.750
Ge4 0.216 0.841 0.750
Ge5 0.877 0.750 0.250
Ge6 0.373 0.250 0.250
Ge7 0.873 0.250 0.250
Ge8 0.377 0.750 0.250

Computed properties:
- Calculated formation energy: -0.030 eV per atom
- Symmetry: Cmce (64)

***

Record 5
This record from the Materials Project database describes an optimized crystal structure of Te2Ir. The functional is r²SCAN.

Lattice parameters (Å, degrees): 3.963 3.963 5.506 90.00 90.00 120.00
Element x y z (fractional)
Te1 0.667 0.333 0.248
Te2 0.333 0.667 0.752
Ir1 0.000 0.000 0.000

Computed properties:
- Calculated formation energy: -0.328 eV per atom
- Symmetry: P-3m1 (164)

***

Record 6
This record from the Materials Project database describes an optimized crystal structure of Cs2TiP4O13. The functional is r²SCAN.

Lattice parameters (Å, degrees): 5.144 7.981 15.772 84.24 83.99 80.43
Element x y z (fractional)
Cs1 0.675 0.744 0.988
Cs2 0.325 0.256 0.012
Cs3 0.266 0.302 0.530
Cs4 0.734 0.698 0.470
Ti1 0.445 0.059 0.261
Ti2 0.555 0.941 0.739
P1 0.877 0.222 0.352
P2 0.123 0.778 0.648
P3 0.668 0.407 0.195
P4 0.332 0.593 0.805
P5 0.315 0.673 0.287
P6 0.685 0.327 0.713
P7 0.020 0.901 0.163
P8 0.980 0.099 0.837
O1 0.712 0.087 0.334
O2 0.288 0.913 0.666
O3 0.788 0.304 0.432
O4 0.212 0.696 0.568
O5 0.852 0.363 0.271
O6 0.148 0.637 0.729
O7 0.170 0.144 0.347
O8 0.830 0.856 0.653
O9 0.514 0.593 0.212
O10 0.486 0.407 0.788
O11 0.815 0.419 0.111
O12 0.185 0.581 0.889
O13 0.463 0.288 0.208
O14 0.537 0.712 0.792
O15 0.434 0.825 0.309
O16 0.566 0.175 0.691
O17 0.058 0.748 0.240
O18 0.942 0.252 0.760
O19 0.260 0.549 0.359
O20 0.740 0.451 0.641
O21 0.120 0.836 0.080
O22 0.880 0.164 0.920
O23 0.724 0.968 0.173
O24 0.276 0.032 0.827
O25 0.177 0.035 0.188
O26 0.823 0.965 0.812

Computed properties:
- Calculated formation energy: -2.595 eV per atom
- Symmetry: P-1 (2)